Computed, not measured: a geometry-optimized LuAlNi structure at the PBE-GGA level of DFT.

a = 6.9151 Å, b = 6.9151 Å, c = 3.7645 Å
α = 90.00°, β = 90.00°, γ = 120.00°
Closest atoms and distances in Å follow each position.
Sites, in units of the cell vectors:
Lu1 0.0000 0.4163 0.5000  5 Ni 2.80-2.88, 6 Al 3.04-3.13
Lu2 0.5837 0.5837 0.5000  5 Ni 2.80-2.88, 6 Al 3.04-3.13
Lu3 0.4163 0.0000 0.5000  5 Ni 2.80-2.88, 6 Al 3.04-3.13
Al1 0.0000 0.7607 0.0000  4 Ni 2.51-2.69
Al2 0.2393 0.2393 0.0000  4 Ni 2.51-2.69
Al3 0.7607 0.0000 0.0000  4 Ni 2.51-2.69
Ni1 0.3333 0.6667 0.0000  3 Al 2.69, 6 Lu 2.80
Ni2 0.6667 0.3333 0.0000  3 Al 2.69, 6 Lu 2.80
Ni3 0.0000 0.0000 0.5000  6 Al 2.51

Formation energy from the elements   -1.908 eV per formula unit
Uncorrected energy   -5.318 eV per atom